! PBE+U Gd2W2O9, relaxed; values from VASP
! Excess energy over the best structure of this formula in the dataset ... 0.0 meV per atom
&SYSTEM
  ibrav = 0, nat = 52, ntyp = 3
/
ATOMIC_SPECIES
Gd 157.25 Gd.upf
W 183.84 W.upf
O 16.00 O.upf
ATOMIC_POSITIONS crystal
Gd 0.211 0.050 0.429
Gd 0.211 0.450 0.929
Gd 0.273 0.056 0.846
Gd 0.273 0.444 0.346
Gd 0.727 0.556 0.654
Gd 0.727 0.944 0.154
Gd 0.789 0.550 0.071
Gd 0.789 0.950 0.571
W 0.074 0.728 0.464
W 0.074 0.772 0.964
W 0.429 0.749 0.763
W 0.429 0.751 0.263
W 0.571 0.249 0.737
W 0.571 0.251 0.237
W 0.926 0.228 0.036
W 0.926 0.272 0.536
O 0.004 0.094 0.182
O 0.004 0.406 0.682
O 0.059 0.103 0.609
O 0.059 0.397 0.109
O 0.097 0.204 0.933
O 0.097 0.296 0.433
O 0.232 0.635 0.139
O 0.232 0.865 0.639
O 0.241 0.682 0.861
O 0.241 0.818 0.361
O 0.273 0.619 0.580
O 0.273 0.881 0.080
O 0.395 0.218 0.336
O 0.395 0.282 0.836
O 0.443 0.089 0.651
O 0.443 0.411 0.151
O 0.494 0.116 0.094
O 0.494 0.384 0.594
O 0.506 0.616 0.406
O 0.506 0.884 0.906
O 0.557 0.589 0.849
O 0.557 0.911 0.349
O 0.605 0.718 0.164
O 0.605 0.782 0.664
O 0.727 0.119 0.920
O 0.727 0.381 0.420
O 0.759 0.182 0.639
O 0.759 0.318 0.139
O 0.768 0.135 0.361
O 0.768 0.365 0.861
O 0.903 0.704 0.567
O 0.903 0.796 0.067
O 0.941 0.603 0.891
O 0.941 0.897 0.391
O 0.996 0.594 0.318
O 0.996 0.906 0.818
CELL_PARAMETERS angstrom
7.717 0.000 0.000
0.000 9.830 0.000
-2.892 0.000 8.823

=====

VASP calculation (PBE+U) on a relaxed structure of Fe3Te2C9O9. Values from VASP.

```
&SYSTEM
  ibrav = 0, nat = 46, ntyp = 4
/
ATOMIC_SPECIES
Fe 55.84 Fe.upf
Te 127.60 Te.upf
C 12.01 C.upf
O 16.00 O.upf
ATOMIC_POSITIONS crystal
Fe 0.071 0.225 0.338
Fe 0.214 0.310 0.156
Fe 0.373 0.609 0.254
Fe 0.627 0.391 0.746
Fe 0.786 0.690 0.844
Fe 0.929 0.775 0.662
Te 0.003 0.564 0.749
Te 0.445 0.389 0.329
Te 0.555 0.611 0.671
Te 0.997 0.436 0.251
C 0.004 0.858 0.890
C 0.075 0.293 0.467
C 0.147 0.064 0.354
C 0.199 0.887 0.688
C 0.227 0.421 0.053
C 0.288 0.730 0.177
C 0.367 0.311 0.775
C 0.396 0.231 0.116
C 0.408 0.717 0.376
C 0.592 0.283 0.624
C 0.604 0.769 0.884
C 0.633 0.689 0.225
C 0.712 0.270 0.823
C 0.773 0.579 0.947
C 0.801 0.113 0.312
C 0.853 0.936 0.646
C 0.925 0.707 0.533
C 0.996 0.142 0.110
O 0.078 0.337 0.553
O 0.144 0.967 0.925
O 0.189 0.957 0.366
O 0.199 0.253 0.793
O 0.230 0.484 0.980
O 0.238 0.811 0.128
O 0.375 0.959 0.703
O 0.438 0.787 0.456
O 0.487 0.820 0.914
O 0.513 0.180 0.086
O 0.562 0.213 0.544
O 0.625 0.041 0.297
O 0.762 0.189 0.872
O 0.770 0.516 0.020
O 0.801 0.747 0.207
O 0.811 0.043 0.634
O 0.856 0.033 0.075
O 0.922 0.663 0.447
CELL_PARAMETERS angstrom
6.972 0.000 0.000
-3.286 8.799 0.000
-1.200 -1.632 13.005
```

=====

! PBE+U Fe2C2O7, relaxed; values from VASP
! Excess energy over the best structure of this formula in the dataset ... 403.9 meV per atom
&SYSTEM
  ibrav = 0, nat = 22, ntyp = 3
/
ATOMIC_SPECIES
Fe 55.84 Fe.upf
C 12.01 C.upf
O 16.00 O.upf
ATOMIC_POSITIONS crystal
Fe 0.163 0.835 0.864
Fe 0.165 0.837 0.636
Fe 0.835 0.163 0.364
Fe 0.837 0.165 0.136
C 0.168 0.832 0.096
C 0.168 0.832 0.404
C 0.832 0.168 0.596
C 0.832 0.168 0.904
O 0.086 0.156 0.594
O 0.087 0.434 0.902
O 0.156 0.086 0.094
O 0.156 0.568 0.405
O 0.163 0.837 0.750
O 0.432 0.844 0.095
O 0.434 0.087 0.402
O 0.566 0.913 0.598
O 0.568 0.156 0.905
O 0.837 0.163 0.250
O 0.844 0.432 0.595
O 0.844 0.914 0.906
O 0.913 0.566 0.098
O 0.914 0.844 0.406
CELL_PARAMETERS angstrom
2.477 -4.301 0.000
2.477 4.301 0.000
-0.173 0.000 16.012

=====

! PBE+U Na12Mn3S6O24F8, relaxed; values from VASP
! Excess energy over the best structure of this formula in the dataset ... 0.0 meV per atom
&SYSTEM
  ibrav = 0, nat = 53, ntyp = 5
/
ATOMIC_SPECIES
Na 22.99 Na.upf
Mn 54.94 Mn.upf
S 32.06 S.upf
O 16.00 O.upf
F 19.00 F.upf
ATOMIC_POSITIONS crystal
Na 0.112 0.179 0.485
Na 0.155 0.645 0.941
Na 0.219 0.783 0.417
Na 0.304 0.450 0.296
Na 0.328 0.000 0.866
Na 0.340 0.075 0.285
Na 0.660 0.925 0.715
Na 0.672 0.000 0.134
Na 0.696 0.550 0.704
Na 0.781 0.217 0.583
Na 0.845 0.355 0.059
Na 0.888 0.821 0.515
Mn 0.000 0.000 0.000
Mn 0.000 0.500 0.500
Mn 0.500 0.500 0.000
S 0.090 0.262 0.857
S 0.395 0.627 0.728
S 0.464 0.165 0.684
S 0.536 0.835 0.316
S 0.605 0.373 0.272
S 0.910 0.738 0.143
O 0.047 0.132 0.685
O 0.052 0.709 0.142
O 0.137 0.204 0.974
O 0.215 0.495 0.634
O 0.234 0.430 0.921
O 0.326 0.110 0.527
O 0.378 0.711 0.289
O 0.419 0.790 0.862
O 0.431 0.243 0.830
O 0.451 0.652 0.608
O 0.468 0.008 0.672
O 0.488 0.557 0.801
O 0.512 0.443 0.199
O 0.532 0.992 0.328
O 0.549 0.348 0.392
O 0.569 0.757 0.170
O 0.581 0.210 0.138
O 0.622 0.289 0.711
O 0.674 0.890 0.473
O 0.766 0.570 0.079
O 0.785 0.505 0.366
O 0.863 0.796 0.026
O 0.948 0.291 0.858
O 0.953 0.868 0.315
F 0.062 0.483 0.325
F 0.104 0.744 0.597
F 0.136 0.157 0.235
F 0.166 0.929 0.995
F 0.834 0.071 0.005
F 0.864 0.843 0.765
F 0.896 0.256 0.403
F 0.938 0.517 0.675
CELL_PARAMETERS angstrom
9.676 0.000 0.000
-3.162 9.179 0.000
-2.570 -5.067 7.981

=====

! PBE+U Fe4O3F5, relaxed; values from VASP
! Excess energy over the best structure of this formula in the dataset ... 58.3 meV per atom
&SYSTEM
  ibrav = 0, nat = 24, ntyp = 3
/
ATOMIC_SPECIES
Fe 55.84 Fe.upf
O 16.00 O.upf
F 19.00 F.upf
ATOMIC_POSITIONS crystal
Fe 0.000 0.000 0.000
Fe 0.002 0.760 0.502
Fe 0.447 0.126 0.246
Fe 0.486 0.621 0.266
Fe 0.517 0.392 0.736
Fe 0.553 0.865 0.759
Fe 0.940 0.485 0.030
Fe 0.969 0.230 0.520
O 0.160 0.200 0.098
O 0.300 0.827 0.344
O 0.651 0.421 0.167
O 0.686 0.167 0.671
O 0.704 0.671 0.659
O 0.813 0.790 0.921
F 0.183 0.695 0.110
F 0.201 0.445 0.606
F 0.215 0.944 0.618
F 0.277 0.322 0.360
F 0.299 0.076 0.857
F 0.316 0.570 0.852
F 0.683 0.922 0.154
F 0.770 0.057 0.395
F 0.785 0.295 0.910
F 0.788 0.546 0.404
CELL_PARAMETERS angstrom
4.822 0.000 0.000
0.013 6.134 0.000
0.059 3.042 9.650

=====

VASP calculation (PBE+U) on a relaxed structure of LiCrCO3F2. Values from VASP.

```
&SYSTEM
  ibrav = 0, nat = 32, ntyp = 5
/
ATOMIC_SPECIES
Li 6.94 Li.upf
Cr 52.00 Cr.upf
C 12.01 C.upf
O 16.00 O.upf
F 19.00 F.upf
ATOMIC_POSITIONS crystal
Li 0.217 0.250 0.241
Li 0.283 0.750 0.741
Li 0.717 0.250 0.259
Li 0.783 0.750 0.759
Cr 0.033 0.250 0.625
Cr 0.467 0.750 0.125
Cr 0.533 0.250 0.875
Cr 0.967 0.750 0.375
C 0.026 0.750 0.057
C 0.474 0.250 0.557
C 0.526 0.750 0.443
C 0.974 0.250 0.943
O 0.119 0.750 0.186
O 0.194 0.750 0.964
O 0.198 0.250 0.969
O 0.302 0.750 0.469
O 0.306 0.250 0.464
O 0.381 0.250 0.686
O 0.619 0.750 0.314
O 0.694 0.750 0.536
O 0.698 0.250 0.531
O 0.802 0.750 0.031
O 0.806 0.250 0.036
O 0.881 0.250 0.814
F 0.045 0.540 0.661
F 0.045 0.960 0.661
F 0.455 0.040 0.161
F 0.455 0.460 0.161
F 0.545 0.540 0.839
F 0.545 0.960 0.839
F 0.955 0.040 0.339
F 0.955 0.460 0.339
CELL_PARAMETERS angstrom
5.519 0.000 0.000
0.000 6.605 0.000
0.000 0.000 9.484
```

=====

! PBE+U LiNiBO3, relaxed; values from VASP
! Excess energy over the best structure of this formula in the dataset ... 17.0 meV per atom
&SYSTEM
  ibrav = 0, nat = 24, ntyp = 4
/
ATOMIC_SPECIES
Ni 58.69 Ni.upf
B 10.81 B.upf
Li 6.94 Li.upf
O 16.00 O.upf
ATOMIC_POSITIONS crystal
Ni 0.447 0.210 0.750
Ni 0.553 0.790 0.249
Ni 0.053 0.290 0.250
Ni 0.947 0.710 0.751
B 0.059 0.967 0.255
B 0.559 0.467 0.255
B 0.441 0.533 0.745
B 0.941 0.033 0.745
Li 0.994 0.384 0.684
Li 0.006 0.616 0.317
Li 0.506 0.116 0.316
Li 0.494 0.884 0.683
O 0.641 0.325 0.337
O 0.141 0.825 0.337
O 0.225 0.031 0.707
O 0.275 0.469 0.293
O 0.775 0.969 0.292
O 0.237 0.390 0.848
O 0.725 0.531 0.708
O 0.359 0.675 0.663
O 0.737 0.890 0.847
O 0.763 0.610 0.153
O 0.263 0.110 0.152
O 0.859 0.175 0.663
CELL_PARAMETERS angstrom
3.026 2.174 3.557
-7.191 4.512 2.489
-0.938 -1.735 5.643

=====

VASP calculation (PBE+U) on a relaxed structure of Mg2Ta2Mn2O9. Values from VASP.

```
&SYSTEM
  ibrav = 0, nat = 30, ntyp = 4
/
ATOMIC_SPECIES
Mg 24.30 Mg.upf
Ta 180.95 Ta.upf
Mn 54.94 Mn.upf
O 16.00 O.upf
ATOMIC_POSITIONS crystal
Mg 0.333 0.667 0.308
Mg 0.333 0.667 0.808
Mg 0.667 0.333 0.192
Mg 0.667 0.333 0.692
Ta 0.000 0.000 0.145
Ta 0.000 0.000 0.355
Ta 0.000 0.000 0.645
Ta 0.000 0.000 0.855
Mn 0.333 0.667 0.020
Mn 0.333 0.667 0.520
Mn 0.667 0.333 0.480
Mn 0.667 0.333 0.980
O 0.000 0.287 0.250
O 0.000 0.713 0.750
O 0.034 0.343 0.912
O 0.034 0.691 0.412
O 0.287 0.000 0.250
O 0.287 0.287 0.750
O 0.309 0.343 0.412
O 0.309 0.966 0.912
O 0.343 0.034 0.588
O 0.343 0.309 0.088
O 0.657 0.691 0.912
O 0.657 0.966 0.412
O 0.691 0.034 0.088
O 0.691 0.657 0.588
O 0.713 0.000 0.750
O 0.713 0.713 0.250
O 0.966 0.309 0.588
O 0.966 0.657 0.088
CELL_PARAMETERS angstrom
5.299 0.000 0.000
-2.650 4.589 0.000
0.000 0.000 14.448
```

=====

VASP calculation (PBE+U) on a relaxed structure of FeP2H2O9. Values from VASP.

```
&SYSTEM
  ibrav = 0, nat = 56, ntyp = 4
/
ATOMIC_SPECIES
Fe 55.84 Fe.upf
P 30.97 P.upf
H 1.01 H.upf
O 16.00 O.upf
ATOMIC_POSITIONS crystal
Fe 0.242 0.036 0.351
Fe 0.242 0.464 0.851
Fe 0.758 0.536 0.149
Fe 0.758 0.964 0.649
P 0.227 0.164 0.561
P 0.227 0.336 0.061
P 0.279 0.741 0.688
P 0.279 0.759 0.188
P 0.721 0.241 0.812
P 0.721 0.259 0.312
P 0.773 0.664 0.939
P 0.773 0.836 0.439
H 0.186 0.736 0.038
H 0.186 0.764 0.538
H 0.322 0.167 0.169
H 0.322 0.333 0.669
H 0.678 0.667 0.331
H 0.678 0.833 0.831
H 0.814 0.236 0.462
H 0.814 0.264 0.962
O 0.049 0.621 0.920
O 0.049 0.879 0.420
O 0.074 0.641 0.207
O 0.074 0.859 0.707
O 0.227 0.005 0.889
O 0.227 0.495 0.389
O 0.236 0.593 0.740
O 0.236 0.907 0.240
O 0.241 0.181 0.457
O 0.241 0.319 0.957
O 0.267 0.692 0.584
O 0.267 0.808 0.084
O 0.287 0.170 0.101
O 0.287 0.330 0.601
O 0.422 0.049 0.601
O 0.422 0.451 0.101
O 0.451 0.194 0.283
O 0.451 0.306 0.783
O 0.549 0.694 0.217
O 0.549 0.806 0.717
O 0.578 0.549 0.899
O 0.578 0.951 0.399
O 0.713 0.670 0.399
O 0.713 0.830 0.899
O 0.733 0.192 0.916
O 0.733 0.308 0.416
O 0.759 0.681 0.043
O 0.759 0.819 0.543
O 0.764 0.093 0.760
O 0.764 0.407 0.260
O 0.773 0.505 0.611
O 0.773 0.995 0.111
O 0.926 0.141 0.293
O 0.926 0.359 0.793
O 0.951 0.121 0.580
O 0.951 0.379 0.080
CELL_PARAMETERS angstrom
5.258 0.000 0.000
0.000 8.733 0.000
-1.276 0.000 14.617
```

=====

! PBE+U Li4Ti3Mn2V3O16, relaxed; values from VASP
! Excess energy over the best structure of this formula in the dataset ... 34.2 meV per atom
&SYSTEM
  ibrav = 0, nat = 28, ntyp = 5
/
ATOMIC_SPECIES
Li 6.94 Li.upf
Ti 47.87 Ti.upf
Mn 54.94 Mn.upf
V 50.94 V.upf
O 16.00 O.upf
ATOMIC_POSITIONS crystal
Li 0.000 0.000 0.000
Li 0.002 0.002 0.503
Li 0.338 0.338 0.398
Li 0.675 0.675 0.899
Ti 0.172 0.172 0.725
Ti 0.342 0.838 0.223
Ti 0.838 0.342 0.223
Mn 0.336 0.336 0.997
Mn 0.674 0.674 0.500
V 0.190 0.658 0.716
V 0.658 0.190 0.716
V 0.834 0.834 0.212
O 0.003 0.003 0.319
O 0.004 0.004 0.816
O 0.045 0.490 0.836
O 0.156 0.681 0.109
O 0.160 0.160 0.109
O 0.327 0.841 0.609
O 0.336 0.336 0.606
O 0.490 0.045 0.836
O 0.491 0.491 0.835
O 0.521 0.521 0.335
O 0.522 0.968 0.335
O 0.666 0.666 0.109
O 0.681 0.156 0.109
O 0.841 0.327 0.609
O 0.848 0.848 0.614
O 0.968 0.522 0.335
CELL_PARAMETERS angstrom
5.101 -2.928 0.000
5.101 2.928 0.000
-0.056 0.000 9.777

=====

Going through the records in order, we get density values of 8.20 2.81 2.41 2.74 4.26 3.02 3.55 6.28 2.61 3.92 Mg/m³.
Going through the records in order, we get total magnetization values of 0.00 0.00 0.18 0.25 1.58 0.38 0.00 0.67 0.57 0.46 μB/atom.
Going through the records in order, we get ΔH_f (0 K) values of -2.92 -0.49 -1.27 -2.36 -2.14 -2.38 -2.20 -2.96 -1.72 -2.70 eV/atom.